Entry 1:
Compound: NdNi4Sn2
Source: the Materials Project
Functional: GGA-PBE
Structure: optimized geometry

Structure (POSCAR):
```
NdNi4Sn2
1.0
-3.873 3.873 3.987
3.873 -3.873 3.987
3.873 3.873 -3.987
Nd Ni Sn
2 8 4
Cartesian
0.000 0.000 1.993
0.000 0.000 5.980
2.797 -1.076 1.317
4.949 -1.076 2.670
4.949 1.076 1.317
2.797 1.076 2.670
1.076 2.797 1.317
-1.076 2.797 2.670
-1.076 4.949 1.317
1.076 4.949 2.670
2.645 1.228 0.000
2.645 -1.228 3.987
1.228 5.101 0.000
1.228 2.645 3.987
```

## Properties
* SG: No. 140
* DFT formation energy: -39.6 kJ/mol of atoms

Entry 2:
Compound: MgTe4MoW3S4
Source: the Materials Project
Functional: GGA-PBE
Structure: optimized geometry

Structure (POSCAR):
```
MgTe4MoW3S4
1.0
2.923 -1.687 0.000
2.923 1.687 0.000
-0.061 0.000 42.350
Mg Te Mo W S
1 4 1 3 4
Cartesian
0.000 0.000 0.000
-0.010 0.000 9.843
-0.009 0.000 13.635
3.862 0.000 28.318
3.862 0.000 32.109
-0.003 0.000 4.015
-0.036 0.000 30.213
3.847 0.000 38.030
3.888 0.000 11.740
-0.050 0.000 36.527
-0.051 0.000 39.540
3.895 0.000 2.492
3.894 0.000 5.513
```

## Properties
* SG: No. 8
* DFT formation energy: -46.5 kJ/mol of atoms

Entry 3:
Compound: TbH2C2SNO9
Source: the Materials Project
Functional: GGA-PBE
Structure: optimized geometry

Structure (POSCAR):
```
TbH2C2SNO9
1.0
6.642 0.000 0.000
0.000 8.726 0.000
-6.125 0.000 14.219
Tb H C S N O
4 8 8 4 4 36
Cartesian
-1.432 2.047 5.926
-4.494 2.316 13.035
5.011 6.410 1.184
1.948 6.679 8.293
-1.585 4.689 7.552
1.477 8.401 0.443
1.430 0.918 1.372
-1.632 3.445 8.482
2.149 5.281 5.737
-0.913 7.808 12.847
-0.960 0.326 13.777
2.102 4.037 6.667
-0.635 0.219 3.228
-3.697 4.144 10.338
-0.546 4.538 3.753
-3.608 8.551 10.863
4.125 0.175 3.356
1.063 4.188 10.466
4.214 4.583 3.881
1.152 8.507 10.991
-4.416 5.811 13.834
-1.354 7.278 6.725
1.871 1.448 7.494
4.933 2.915 0.385
-1.194 1.485 9.686
1.869 2.878 2.576
-1.352 5.848 11.643
1.711 7.242 4.533
0.484 6.463 0.189
-2.579 6.627 7.298
-3.328 4.893 9.435
-0.266 8.197 2.326
-0.186 5.277 2.845
-3.249 7.813 9.955
-4.262 6.183 12.430
-1.199 6.906 5.320
-1.477 0.038 6.872
-4.540 4.325 13.982
-0.184 0.996 4.056
-3.246 3.368 11.165
-3.180 0.585 11.719
-0.118 3.778 4.609
1.712 0.627 0.486
-1.350 3.736 7.596
2.858 6.282 0.439
-0.204 6.807 7.549
0.721 1.919 6.670
-2.342 2.444 13.780
1.867 4.990 6.624
-1.195 8.100 13.733
0.635 4.948 9.610
3.697 8.141 2.500
3.763 5.359 3.054
0.701 7.731 10.163
5.057 4.401 0.237
1.994 8.688 7.347
1.716 1.820 8.899
4.779 2.543 1.789
3.765 0.914 4.264
0.703 3.450 11.374
0.782 0.530 11.893
3.845 3.833 4.784
3.095 2.100 6.921
0.033 2.264 14.031
```

## Properties
* SG: No. 14
* DFT formation energy: -145.4 kJ/mol of atoms